First-principles (PBE) data for a relaxed Zr3Tl crystal, as listed in the Materials Project database.

## Properties
formation energy: -12 kJ per mole of atoms
SG: Pm-3m, No. 221

a = 4.491 Å, b = 4.491 Å, c = 4.491 Å
α = 90.00°, β = 90.00°, γ = 90.00°
Positions (direct):
Zr 0.000 0.000 0.500
Zr 0.000 0.500 0.000
Zr 0.500 0.000 0.000
Tl 0.500 0.500 0.500